Density functional theory data (PBE) for a relaxed Ca3Bi2O7 crystal.

a b c (Å): 20.4370 5.8977 6.0841
angles (deg): 90.00 90.00 90.00
Closest atoms and distances in Å follow each position.
Space group Cmc2_1 (No. 36)
Inequivalent atoms, fractional coordinates:
Ca1 0.0000 0.2345 0.0000 (multiplicity 4)  4 O 2.35-2.44
Ca2 0.1964 0.2377 0.1156 (multiplicity 8)  4 O 2.28-2.38
Bi1 0.1039 0.2533 0.5519 (multiplicity 8)  6 O 2.23-2.32
O1 0.0000 0.3894 0.6289 (multiplicity 4)  2 Bi 2.32, 2 Ca 2.35-2.44
O2 0.0770 0.0625 0.2390 (multiplicity 8)  2 Bi 2.25-2.28, 1 Ca 2.37
O3 0.1353 0.4434 0.8513 (multiplicity 8)  2 Bi 2.23-2.26, 1 Ca 2.37
O4 0.2052 0.1294 0.4919 (multiplicity 8)  1 Bi 2.23, 3 Ca 2.28-2.38

Density functional theory data (PBE) for a relaxed CaBi2O4 crystal.

a b c (Å): 6.8901 12.0089 6.1267
angles (deg): 90.00 90.00 90.00
Closest atoms and distances in Å follow each position.
Space group Pmmn (No. 59, origin choice 2)
Inequivalent atoms, fractional coordinates:
Ca1 0.2500 0.2500 0.0102 (multiplicity 2)  6 O 2.47-2.61
Ca2 0.2500 0.7500 0.3609 (multiplicity 2)  6 O 2.29-2.51
Bi1 0.0000 0.0000 0.5000 (multiplicity 4)  6 O 2.34-2.48
Bi2 0.2500 0.5366 0.0015 (multiplicity 4)  4 O 2.23-2.49
O1 0.0107 0.6239 0.1759 (multiplicity 8)  2 Bi 2.23-2.48
O2 0.2500 0.0946 0.2747 (multiplicity 4)  3 Bi 2.30-2.48, 1 Ca 2.47
O3 0.2500 0.6149 0.6250 (multiplicity 4)  1 Ca 2.29, 3 Bi 2.34-2.49

- Total moment: 0.0000 μB per atom

Density functional theory data (PBE) for a relaxed CaBi2O4 crystal.

a b c (Å): 3.4080 11.4353 11.4407
angles (deg): 90.00 90.00 90.00
Closest atoms and distances in Å follow each position.
Space group Cmcm (No. 63)
Inequivalent atoms, fractional coordinates:
Ca1 0.0000 0.1136 0.2500 (multiplicity 4)  6 O 2.35-2.59
Bi1 0.0000 0.3676 0.0773 (multiplicity 8)  6 O 2.31-2.50
O1 0.0000 0.0000 0.0000 (multiplicity 4)  4 Bi 2.44
O2 0.0000 0.2751 0.6207 (multiplicity 8)  3 Bi 2.41-2.50, 2 Ca 2.59
O3 0.0000 0.4723 0.2500 (multiplicity 4)  2 Bi 2.31, 2 Ca 2.35

- Total moment: 0.0000 μB per atom

Density functional theory data (PBE) for a relaxed CaBi2O4 crystal.

a b c (Å): 10.2534 3.4144 12.5495
angles (deg): 90.00 90.00 90.00
Closest atoms and distances in Å follow each position.
Space group Pnma (No. 62)
Inequivalent atoms, fractional coordinates:
Ca1 0.2397 0.2500 0.1511 (multiplicity 4)  7 O 2.47-2.76
Bi1 0.0710 0.2500 0.3788 (multiplicity 4)  5 O 2.24-2.47
Bi2 0.0835 0.2500 0.8914 (multiplicity 4)  4 O 2.28-2.48
O1 0.0174 0.7500 0.7842 (multiplicity 4)  3 Bi 2.24-2.28
O2 0.0822 0.2500 0.5929 (multiplicity 4)  2 Bi 2.35, 2 Ca 2.60
O3 0.1283 0.7500 0.0410 (multiplicity 4)  3 Bi 2.33-2.58, 2 Ca 2.48
O4 0.2081 0.7500 0.2910 (multiplicity 4)  2 Ca 2.47, 3 Bi 2.47-2.48

- Total moment: 0.0000 μB per atom

Density functional theory data (PBE) for a relaxed Ca4Bi6O13 crystal.

a b c (Å): 12.0183 14.5769 9.3045
angles (deg): 90.00 108.83 90.00
Closest atoms and distances in Å follow each position.
Space group Cm (No. 8)
Inequivalent atoms, fractional coordinates:
Ca1 0.0000 0.1232 0.0000 (multiplicity 4)  7 O 2.41-2.55
Ca2 0.9996 0.3761 0.9998 (multiplicity 4)  7 O 2.39-2.54
Ca3 0.2144 0.1236 0.8594 (multiplicity 4)  7 O 2.39-2.55
Ca4 0.2149 0.3766 0.8591 (multiplicity 4)  7 O 2.40-2.55
Bi1 0.0713 0.1358 0.4305 (multiplicity 4)  3 O 2.10-2.11
Bi2 0.0707 0.3642 0.4287 (multiplicity 4)  3 O 2.10-2.11
Bi3 0.2710 0.2499 0.2029 (multiplicity 4)  3 O 2.10-2.33
Bi4 0.2746 0.5000 0.2077 (multiplicity 2)  3 O 2.12-2.26
Bi5 0.2763 0.0000 0.2067 (multiplicity 2)  3 O 2.13-2.27
Bi6 0.3843 0.2502 0.6562 (multiplicity 4)  3 O 2.10-2.33
Bi7 0.3858 0.0000 0.6516 (multiplicity 2)  3 O 2.12-2.26
Bi8 0.3879 0.5000 0.6524 (multiplicity 2)  3 O 2.13-2.27
O1 0.0064 0.1233 0.7340 (multiplicity 4)  2 Bi 2.27-2.32, 2 Ca 2.39-2.50
O2 0.0061 0.3778 0.7312 (multiplicity 4)  2 Bi 2.26-2.33, 2 Ca 2.40-2.53
O3 0.0104 0.5000 0.4133 (multiplicity 2)  2 Bi 2.10
O4 0.0184 0.0000 0.4458 (multiplicity 2)  2 Bi 2.10
O5 0.1402 0.5000 0.9936 (multiplicity 2)  1 Bi 2.12
O6 0.1409 0.0000 0.9921 (multiplicity 2)  1 Bi 2.13
O7 0.1428 0.1310 0.2508 (multiplicity 4)  1 Bi 2.11
O8 0.1428 0.2503 0.9871 (multiplicity 4)  1 Bi 2.10
O9 0.1431 0.3664 0.2497 (multiplicity 4)  1 Bi 2.11
O10 0.2322 0.3690 0.6083 (multiplicity 4)  1 Bi 2.11
O11 0.2332 0.1334 0.6094 (multiplicity 4)  1 Bi 2.11
O12 0.3540 0.1231 0.1247 (multiplicity 4)  2 Bi 2.27-2.33, 2 Ca 2.39-2.50
O13 0.3550 0.3778 0.1280 (multiplicity 4)  2 Bi 2.26-2.33, 2 Ca 2.41-2.52
O14 0.3586 0.0000 0.8655 (multiplicity 2)  1 Bi 2.12
O15 0.3594 0.5000 0.8671 (multiplicity 2)  1 Bi 2.13
O16 0.3641 0.2502 0.8721 (multiplicity 4)  1 Bi 2.10

- Total moment: 0.0000 μB per atom
- Polymorph energy (0 for the lowest one): 0.000 eV per atom

Density functional theory data (PBE) for a relaxed Ca8Bi12O25 crystal.

a b c (Å): 10.5150 10.9780 22.7186
angles (deg): 100.92 100.14 91.33
Closest atoms and distances in Å follow each position.
Space group P1 (No. 1)
Inequivalent atoms, fractional coordinates:
Ca1 0.0000 0.0000 0.0000 (multiplicity 1)  2 O 2.13-2.35
Ca2 0.0013 0.6812 0.9619 (multiplicity 1)  3 O 2.20-2.32
Ca3 0.0999 0.0760 0.3040 (multiplicity 1)  5 O 2.25-2.39
Ca4 0.1349 0.3335 0.6151 (multiplicity 1)  5 O 2.36-2.61
Ca5 0.2491 0.8011 0.3225 (multiplicity 1)  4 O 2.23-2.48
Ca6 0.3198 0.8122 0.9947 (multiplicity 1)  3 O 2.17-2.40
Ca7 0.3233 0.2793 0.3086 (multiplicity 1)  5 O 2.30-2.47
Ca8 0.3639 0.8849 0.6207 (multiplicity 1)  5 O 2.27-2.41
Ca9 0.4316 0.2272 0.6071 (multiplicity 1)  6 O 2.30-2.50
Ca10 0.4528 0.5538 0.6913 (multiplicity 1)  5 O 2.25-2.44
Ca11 0.4727 0.2796 0.0064 (multiplicity 1)  4 O 2.27-2.32
Ca12 0.4850 0.9981 0.2688 (multiplicity 1)  5 O 2.26-2.40
Ca13 0.5368 0.9860 0.9293 (multiplicity 1)  6 O 2.33-2.54
Ca14 0.5779 0.6034 0.0206 (multiplicity 1)  4 O 2.23-2.48
Ca15 0.5861 0.7068 0.3053 (multiplicity 1)  6 O 2.40-2.52
Ca16 0.6628 0.7982 0.6511 (multiplicity 1)  3 O 2.21-2.42
Ca17 0.7378 0.8300 0.9898 (multiplicity 1)  6 O 2.20-2.45
Ca18 0.7545 0.2477 0.3034 (multiplicity 1)  5 O 2.27-2.42
Ca19 0.7564 0.2990 0.6785 (multiplicity 1)  5 O 2.33-2.49
Ca20 0.7831 0.2538 0.9926 (multiplicity 1)  4 O 2.26-2.37
Ca21 0.8547 0.8861 0.3120 (multiplicity 1)  5 O 2.22-2.40
Ca22 0.9618 0.5725 0.3186 (multiplicity 1)  4 O 2.24-2.37
Ca23 0.9720 0.5934 0.6576 (multiplicity 1)  4 O 2.23-2.32
Ca24 0.9979 0.0464 0.6603 (multiplicity 1)  5 O 2.32-2.44
Bi1 0.9999 0.7722 0.5695 (multiplicity 1)  3 O 2.12-2.25
Bi2 0.0131 0.8594 0.7676 (multiplicity 1)  4 O 2.12-2.30
Bi3 0.0220 0.8138 0.1868 (multiplicity 1)  3 O 2.13-2.39
Bi4 0.1555 0.2413 0.7766 (multiplicity 1)  2 O 2.13-2.24
Bi5 0.1557 0.2867 0.0739 (multiplicity 1)  3 O 2.14-2.36
Bi6 0.1667 0.0097 0.5154 (multiplicity 1)  2 O 2.10-2.28
Bi7 0.1826 0.5329 0.2149 (multiplicity 1)  2 O 2.11-2.26
Bi8 0.2195 0.0163 0.1465 (multiplicity 1)  2 O 2.12-2.15
Bi9 0.2244 0.0597 0.9181 (multiplicity 1)  3 O 2.12-2.33
Bi10 0.2465 0.2765 0.4573 (multiplicity 1)  3 O 2.21-2.24
Bi11 0.2510 0.4484 0.9210 (multiplicity 1)  3 O 2.12-2.16
Bi12 0.2724 0.5756 0.5478 (multiplicity 1)  3 O 2.16-2.30
Bi13 0.3817 0.7122 0.1501 (multiplicity 1)  3 O 2.16-2.22
Bi14 0.3983 0.9280 0.7789 (multiplicity 1)  3 O 2.12-2.21
Bi15 0.4016 0.6574 0.8459 (multiplicity 1)  3 O 2.21-2.26
Bi16 0.4449 0.0183 0.4203 (multiplicity 1)  3 O 2.13-2.21
Bi17 0.4478 0.3270 0.7695 (multiplicity 1)  3 O 2.11-2.29
Bi18 0.4600 0.3352 0.1774 (multiplicity 1)  3 O 2.12-2.28
Bi19 0.4668 0.7564 0.4786 (multiplicity 1)  2 O 2.20-2.25
Bi20 0.5193 0.0306 0.0772 (multiplicity 1)  3 O 2.16-2.28
Bi21 0.5886 0.4037 0.4120 (multiplicity 1)  3 O 2.11-2.22
Bi22 0.6804 0.0666 0.7447 (multiplicity 1)  3 O 2.15-2.36
Bi23 0.6924 0.0189 0.5594 (multiplicity 1)  3 O 2.07-2.22
Bi24 0.6949 0.4708 0.5787 (multiplicity 1)  3 O 2.12-2.15
Bi25 0.6990 0.8578 0.1665 (multiplicity 1)  2 O 2.24
Bi26 0.7031 0.7860 0.8277 (multiplicity 1)  3 O 2.22-2.39
Bi27 0.7084 0.4787 0.9049 (multiplicity 1)  3 O 2.14-2.31
Bi28 0.7229 0.5389 0.1908 (multiplicity 1)  3 O 2.10-2.30
Bi29 0.7573 0.7156 0.4448 (multiplicity 1)  3 O 2.07-2.24
Bi30 0.8653 0.0800 0.1255 (multiplicity 1)  3 O 2.13-2.23
Bi31 0.8800 0.1265 0.4474 (multiplicity 1)  3 O 2.06-2.19
Bi32 0.9154 0.5452 0.0741 (multiplicity 1)  3 O 2.07-2.30
Bi33 0.9360 0.2223 0.8508 (multiplicity 1)  2 O 2.11-2.23
Bi34 0.9467 0.4583 0.4727 (multiplicity 1)  2 O 2.20-2.25
Bi35 0.9635 0.5176 0.8088 (multiplicity 1)  3 O 2.12-2.16
Bi36 0.9993 0.3162 0.2193 (multiplicity 1)  2 O 2.11-2.17
O1 0.0189 0.6484 0.7587 (multiplicity 1)  2 Bi 2.12-2.29, 1 Ca 2.23
O2 0.0299 0.0680 0.7669 (multiplicity 1)  2 Bi 2.24-2.30, 1 Ca 2.35
O3 0.0417 0.8344 0.6717 (multiplicity 1)  2 Bi 2.22-2.25, 1 Ca 2.44
O4 0.0456 0.2587 0.6906 (multiplicity 1)  1 Bi 2.13, 2 Ca 2.32-2.36
O5 0.0512 0.1308 0.0993 (multiplicity 1)  3 Bi 2.23-2.41, 1 Ca 2.40
O6 0.0521 0.8589 0.2840 (multiplicity 1)  1 Bi 2.13, 3 Ca 2.26-2.36
O7 0.0577 0.1941 0.5125 (multiplicity 1)  2 Bi 2.19-2.36
O8 0.0824 0.6006 0.0473 (multiplicity 1)  1 Bi 2.07
O9 0.0979 0.2802 0.3028 (multiplicity 1)  1 Bi 2.11, 2 Ca 2.25-2.35
O10 0.1010 0.5663 0.8928 (multiplicity 1)  2 Bi 2.15, 1 Ca 2.25
O11 0.1066 0.1773 0.9835 (multiplicity 1)  2 Bi 2.14-2.33, 1 Ca 2.35
O12 0.1193 0.8547 0.9708 (multiplicity 1)  3 Ca 2.13-2.20
O13 0.1310 0.5466 0.6041 (multiplicity 1)  1 Bi 2.18, 2 Ca 2.25-2.40
O14 0.1740 0.6039 0.3071 (multiplicity 1)  1 Bi 2.11, 2 Ca 2.23-2.32
O15 0.1888 0.7936 0.5510 (multiplicity 1)  1 Bi 2.12, 1 Ca 2.28
O16 0.2538 0.7797 0.2122 (multiplicity 1)  1 Bi 2.16
O17 0.2568 0.0705 0.6069 (multiplicity 1)  1 Bi 2.10
O18 0.2925 0.4349 0.8321 (multiplicity 1)  1 Bi 2.12
O19 0.2954 0.0863 0.2398 (multiplicity 1)  1 Bi 2.12, 2 Ca 2.28-2.36
O20 0.2976 0.1052 0.3690 (multiplicity 1)  1 Bi 2.13, 1 Ca 2.30
O21 0.3004 0.3649 0.2226 (multiplicity 1)  2 Bi 2.12-2.26, 1 Ca 2.30
O22 0.3143 0.3736 0.5538 (multiplicity 1)  2 Bi 2.23-2.30, 1 Ca 2.42
O23 0.3199 0.1574 0.1151 (multiplicity 1)  1 Bi 2.15
O24 0.3220 0.8700 0.4362 (multiplicity 1)  2 Bi 2.18-2.20
O25 0.3361 0.1263 0.4999 (multiplicity 1)  3 Bi 2.21-2.44
O26 0.3406 0.3637 0.6876 (multiplicity 1)  1 Bi 2.11, 1 Ca 2.35
O27 0.3427 0.2152 0.9127 (multiplicity 1)  1 Bi 2.12, 1 Ca 2.29
O28 0.3431 0.9039 0.8656 (multiplicity 1)  2 Bi 2.21-2.40, 1 Ca 2.33
O29 0.3632 0.8749 0.1052 (multiplicity 1)  2 Bi 2.22-2.37, 1 Ca 2.43
O30 0.3728 0.0304 0.9904 (multiplicity 1)  2 Bi 2.13-2.28
O31 0.3846 0.6083 0.9565 (multiplicity 1)  1 Bi 2.16, 2 Ca 2.29-2.40
O32 0.3875 0.3774 0.4174 (multiplicity 1)  2 Bi 2.15-2.24
O33 0.4030 0.3840 0.0900 (multiplicity 1)  1 Bi 2.14, 1 Ca 2.27
O34 0.4241 0.6740 0.6186 (multiplicity 1)  1 Bi 2.16, 2 Ca 2.29-2.41
O35 0.4380 0.7370 0.7654 (multiplicity 1)  2 Bi 2.12-2.26
O36 0.4573 0.8801 0.3375 (multiplicity 1)  1 Bi 2.21, 3 Ca 2.26-2.43
O37 0.5227 0.5218 0.7951 (multiplicity 1)  2 Bi 2.20-2.26, 1 Ca 2.44
O38 0.5290 0.9263 0.7021 (multiplicity 1)  2 Bi 2.15-2.40, 2 Ca 2.27-2.31
O39 0.5328 0.5360 0.2187 (multiplicity 1)  2 Bi 2.20-2.28, 1 Ca 2.42
O40 0.5326 0.8905 0.5678 (multiplicity 1)  2 Bi 2.22-2.25, 1 Ca 2.32
O41 0.5423 0.8138 0.2156 (multiplicity 1)  2 Bi 2.17-2.24, 1 Ca 2.30
O42 0.5487 0.8599 0.0173 (multiplicity 1)  1 Bi 2.16, 2 Ca 2.20-2.39
O43 0.5549 0.2945 0.3233 (multiplicity 1)  1 Bi 2.11, 1 Ca 2.27
O44 0.5623 0.2059 0.7061 (multiplicity 1)  2 Bi 2.21-2.29
O45 0.5838 0.7594 0.8965 (multiplicity 1)  2 Bi 2.21-2.22, 1 Ca 2.41
O46 0.5872 0.9846 0.8310 (multiplicity 1)  1 Bi 2.14, 1 Ca 2.38
O47 0.5951 0.5908 0.3884 (multiplicity 1)  2 Bi 2.21-2.22, 1 Ca 2.46
O48 0.6232 0.4596 0.6600 (multiplicity 1)  1 Bi 2.14, 2 Ca 2.25-2.33
O49 0.6268 0.1423 0.0245 (multiplicity 1)  3 Ca 2.27-2.51, 1 Bi 2.28
O50 0.6267 0.4027 0.9794 (multiplicity 1)  1 Bi 2.31, 3 Ca 2.32-2.37
O51 0.6316 0.1976 0.5807 (multiplicity 1)  1 Bi 2.07, 1 Ca 2.30
O52 0.6487 0.6594 0.1207 (multiplicity 1)  1 Ca 2.23, 2 Bi 2.24-2.30
O53 0.6663 0.0663 0.2295 (multiplicity 1)  1 O 1.52
O54 0.7077 0.0409 0.2936 (multiplicity 1)  1 O 1.52
O55 0.7554 0.8287 0.3816 (multiplicity 1)  1 Bi 2.07, 1 Ca 2.22
O56 0.7706 0.0228 0.6554 (multiplicity 1)  2 Bi 2.18-2.36, 1 Ca 2.38
O57 0.7728 0.0090 0.9500 (multiplicity 1)  1 O 1.52
O58 0.7802 0.6271 0.9810 (multiplicity 1)  1 Bi 2.15, 1 Ca 2.26
O59 0.7811 0.6573 0.6074 (multiplicity 1)  1 Bi 2.15, 2 Ca 2.21-2.32
O60 0.7871 0.6722 0.2707 (multiplicity 1)  1 Bi 2.10
O61 0.8083 0.8537 0.7483 (multiplicity 1)  1 Bi 2.12
O62 0.8124 0.2946 0.7838 (multiplicity 1)  1 Bi 2.11
O63 0.8266 0.2936 0.4126 (multiplicity 1)  2 Bi 2.18-2.25, 1 Ca 2.42
O64 0.8354 0.9054 0.9123 (multiplicity 1)  1 O 1.52
O65 0.8368 0.6291 0.8595 (multiplicity 1)  2 Bi 2.16-2.39
O66 0.8426 0.3986 0.2611 (multiplicity 1)  1 Bi 2.17, 2 Ca 2.30-2.32
O67 0.8605 0.3561 0.9217 (multiplicity 1)  2 Bi 2.14-2.23, 1 Ca 2.37
O68 0.8690 0.4052 0.6213 (multiplicity 1)  1 Bi 2.12, 2 Ca 2.25-2.35
O69 0.8951 0.9047 0.0695 (multiplicity 1)  1 Bi 2.16, 1 Ca 2.24
O70 0.9022 0.5877 0.4097 (multiplicity 1)  2 Bi 2.20-2.24, 1 Ca 2.24
O71 0.9416 0.3492 0.0691 (multiplicity 1)  2 Bi 2.16-2.36, 1 Ca 2.26
O72 0.9557 0.9559 0.5570 (multiplicity 1)  1 Bi 2.14, 1 Ca 2.33
O73 0.9665 0.0256 0.2052 (multiplicity 1)  1 Bi 2.13
O74 0.9725 0.6031 0.1783 (multiplicity 1)  3 Bi 2.30-2.42
O75 0.9738 0.0582 0.3767 (multiplicity 1)  1 Bi 2.06

- Total moment: 0.0000 μB per atom

ΔH_f (0 K) across the listed records, respectively: -2.422, -1.964, -2.029, -2.055, -2.239, -1.903 eV/atom.